Here is Tb11In6Si4 after structural relaxation from the Materials Project. Energies are from GGA-PBE.

The total magnetization comes out at 0.0 μB/f.u.

Lattice parameters (Å, degrees): 11.563 11.563 16.272 90.00 90.00 90.00
Space group I4/mmm (No. 139)
Inequivalent atoms, fractional coordinates:
Tb (0.000, 0.000, 0.168) [4 per cell]
Tb (0.000, 0.250, 0.315) [16 per cell]
Tb (0.000, 0.347, 0.101) [16 per cell]
Tb (0.167, 0.167, 0.500) [8 per cell]
In (0.129, 0.129, 0.000) [8 per cell]
In (0.205, 0.205, 0.172) [16 per cell]
Si (0.000, 0.000, 0.383) [4 per cell]
Si (0.000, 0.346, 0.500) [8 per cell]
Si (0.000, 0.500, 0.250) [4 per cell]


Here is Li4GeS4 after structural relaxation from the Materials Project. Energies are from GGA-PBE.

Its offset from the most stable computed form is 0 meV/atom.

Lattice parameters (Å, degrees): 14.161 7.814 6.195 90.00 90.00 90.00
Space group Pnma (No. 62)
Inequivalent atoms, fractional coordinates:
Li (0.000, 0.000, 0.000) [4 per cell]
Li (0.087, 0.250, 0.370) [4 per cell]
Li (0.177, 0.000, 0.807) [8 per cell]
Ge (0.089, 0.750, 0.350) [4 per cell]
S (0.062, 0.250, 0.769) [4 per cell]
S (0.086, 0.750, 0.710) [4 per cell]
S (0.156, 0.514, 0.216) [8 per cell]


Here is F after structural relaxation from the Materials Project. Energies are from GGA-PBE.

Its offset from the most stable computed form is 0 meV/atom.

Lattice parameters (Å, degrees): 5.697 3.650 6.515 90.00 90.00 90.00
Space group Cmce (No. 64)
Inequivalent atoms, fractional coordinates:
F (0.000, 0.099, 0.095) [8 per cell]


Here is NaTaSi3Sn3S3O24 after structural relaxation from the Materials Project. Energies are from GGA-PBE.

The total magnetization comes out at 0.0 μB/f.u.

Lattice parameters (Å, degrees): 8.827 8.834 23.012 88.98 89.32 60.22
Space group P1 (No. 1)
Inequivalent atoms, fractional coordinates:
Na (0.000, 0.000, 0.000) [1 per cell]
Na (0.028, 0.965, 0.506) [1 per cell]
Na (0.682, 0.635, 0.166) [1 per cell]
Ta (0.364, 0.320, 0.697) [1 per cell]
Ta (0.691, 0.649, 0.817) [1 per cell]
Ta (0.699, 0.637, 0.314) [1 per cell]
Si (0.032, 0.263, 0.254) [1 per cell]
Si (0.309, 0.696, 0.253) [1 per cell]
Si (0.312, 0.978, 0.755) [1 per cell]
Si (0.349, 0.614, 0.587) [1 per cell]
Si (0.644, 0.317, 0.086) [1 per cell]
Si (0.697, 0.930, 0.921) [1 per cell]
Si (0.743, 0.271, 0.753) [1 per cell]
Si (0.973, 0.656, 0.422) [1 per cell]
Si (0.984, 0.359, 0.923) [1 per cell]
Sn (0.007, 0.008, 0.859) [1 per cell]
Sn (0.019, 0.996, 0.151) [1 per cell]
Sn (0.032, 0.970, 0.355) [1 per cell]
Sn (0.036, 0.980, 0.656) [1 per cell]
Sn (0.340, 0.337, 0.483) [1 per cell]
Sn (0.352, 0.331, 0.192) [1 per cell]
Sn (0.372, 0.300, 0.977) [1 per cell]
Sn (0.686, 0.654, 0.527) [1 per cell]
Sn (0.696, 0.636, 0.021) [1 per cell]
S (0.021, 0.692, 0.754) [1 per cell]
S (0.062, 0.611, 0.087) [1 per cell]
S (0.065, 0.315, 0.587) [1 per cell]
S (0.358, 0.024, 0.088) [1 per cell]
S (0.396, 0.654, 0.920) [1 per cell]
S (0.399, 0.943, 0.422) [1 per cell]
S (0.640, 0.033, 0.587) [1 per cell]
S (0.691, 0.357, 0.421) [1 per cell]
S (0.728, 0.983, 0.255) [1 per cell]
O (0.010, 0.163, 0.919) [1 per cell]
O (0.040, 0.161, 0.591) [1 per cell]
O (0.048, 0.161, 0.315) [1 per cell]
O (0.048, 0.785, 0.094) [1 per cell]
O (0.061, 0.762, 0.805) [1 per cell]
O (0.135, 0.503, 0.141) [1 per cell]
O (0.152, 0.335, 0.638) [1 per cell]
O (0.159, 0.476, 0.425) [1 per cell]
O (0.166, 0.361, 0.930) [1 per cell]
O (0.167, 0.531, 0.035) [1 per cell]
O (0.171, 0.806, 0.593) [1 per cell]
O (0.174, 0.278, 0.533) [1 per cell]
O (0.175, 0.513, 0.744) [1 per cell]
O (0.189, 0.017, 0.811) [1 per cell]
O (0.197, 0.767, 0.312) [1 per cell]
O (0.198, 0.285, 0.243) [1 per cell]
O (0.200, 0.002, 0.091) [1 per cell]
O (0.219, 0.968, 0.418) [1 per cell]
O (0.222, 0.806, 0.913) [1 per cell]
O (0.228, 0.818, 0.195) [1 per cell]
O (0.247, 0.932, 0.696) [1 per cell]
O (0.318, 0.531, 0.528) [1 per cell]
O (0.326, 0.133, 0.036) [1 per cell]
O (0.328, 0.154, 0.738) [1 per cell]
O (0.342, 0.501, 0.248) [1 per cell]
O (0.371, 0.486, 0.643) [1 per cell]
O (0.379, 0.102, 0.141) [1 per cell]
O (0.384, 0.495, 0.926) [1 per cell]
O (0.391, 0.113, 0.429) [1 per cell]
O (0.466, 0.687, 0.974) [1 per cell]
O (0.471, 0.832, 0.475) [1 per cell]
O (0.502, 0.681, 0.267) [1 per cell]
O (0.503, 0.859, 0.370) [1 per cell]
O (0.507, 0.817, 0.768) [1 per cell]
O (0.508, 0.627, 0.869) [1 per cell]
O (0.515, 0.849, 0.083) [1 per cell]
O (0.524, 0.120, 0.923) [1 per cell]
O (0.528, 0.625, 0.579) [1 per cell]
O (0.530, 0.118, 0.638) [1 per cell]
O (0.534, 0.338, 0.426) [1 per cell]
O (0.534, 0.341, 0.146) [1 per cell]
O (0.545, 0.296, 0.741) [1 per cell]
O (0.552, 0.291, 0.030) [1 per cell]
O (0.554, 0.130, 0.247) [1 per cell]
O (0.562, 0.137, 0.532) [1 per cell]
O (0.653, 0.860, 0.583) [1 per cell]
O (0.659, 0.497, 0.083) [1 per cell]
O (0.662, 0.470, 0.369) [1 per cell]
O (0.671, 0.832, 0.865) [1 per cell]
O (0.710, 0.823, 0.264) [1 per cell]
O (0.712, 0.463, 0.766) [1 per cell]
O (0.719, 0.435, 0.473) [1 per cell]
O (0.719, 0.822, 0.982) [1 per cell]
O (0.803, 0.013, 0.307) [1 per cell]
O (0.806, 0.143, 0.808) [1 per cell]
O (0.816, 0.013, 0.592) [1 per cell]
O (0.839, 0.137, 0.091) [1 per cell]
O (0.840, 0.940, 0.203) [1 per cell]
O (0.847, 0.184, 0.414) [1 per cell]
O (0.848, 0.191, 0.692) [1 per cell]
O (0.854, 0.688, 0.480) [1 per cell]
O (0.856, 0.463, 0.265) [1 per cell]
O (0.862, 0.428, 0.980) [1 per cell]
O (0.866, 0.636, 0.366) [1 per cell]
O (0.868, 0.669, 0.762) [1 per cell]
O (0.879, 0.934, 0.915) [1 per cell]
O (0.881, 0.478, 0.865) [1 per cell]
O (0.883, 0.633, 0.084) [1 per cell]
O (0.895, 0.475, 0.581) [1 per cell]
O (0.968, 0.201, 0.198) [1 per cell]
O (0.985, 0.798, 0.700) [1 per cell]
O (0.988, 0.834, 0.416) [1 per cell]


Here is MgZn2Ni4S10 after structural relaxation from the Materials Project. Energies are from GGA-PBE.

Its offset from the most stable computed form is 58 meV/atom. The total magnetization comes out at 0.0 μB/f.u.

Lattice parameters (Å, degrees): 3.652 6.434 13.340 89.77 89.46 89.79
Space group P1 (No. 1)
Inequivalent atoms, fractional coordinates:
Mg (0.000, 0.000, 0.000) [1 per cell]
Zn (0.500, 0.729, 0.499) [1 per cell]
Zn (0.997, 0.567, 0.003) [1 per cell]
Ni (0.001, 0.158, 0.644) [1 per cell]
Ni (0.496, 0.135, 0.850) [1 per cell]
Ni (0.503, 0.132, 0.151) [1 per cell]
Ni (0.997, 0.159, 0.357) [1 per cell]
S (0.002, 0.293, 0.203) [1 per cell]
S (0.002, 0.476, 0.580) [1 per cell]
S (0.485, 0.797, 0.893) [1 per cell]
S (0.498, 0.307, 0.000) [1 per cell]
S (0.500, 0.994, 0.698) [1 per cell]
S (0.500, 0.997, 0.305) [1 per cell]
S (0.518, 0.794, 0.106) [1 per cell]
S (0.995, 0.477, 0.422) [1 per cell]
S (0.996, 0.296, 0.798) [1 per cell]
S (0.999, 0.978, 0.501) [1 per cell]


Here is CsI after structural relaxation from the Materials Project. Energies are from GGA-PBE.

Lattice parameters (Å, degrees): 7.859 7.859 7.859 90.00 90.00 90.00
Space group Fm-3m (No. 225)
Inequivalent atoms, fractional coordinates:
Cs (0.000, 0.000, 0.000) [4 per cell]
I (0.000, 0.000, 0.500) [4 per cell]


Here is LuAlB14 after structural relaxation from the Materials Project. Energies are from GGA-PBE.

The total magnetization comes out at 0.0 μB/f.u.

Lattice parameters (Å, degrees): 5.904 10.434 8.196 90.00 90.00 90.00
Space group Imma (No. 74)
Inequivalent atoms, fractional coordinates:
Lu (0.000, 0.250, 0.153) [4 per cell]
Al (0.250, 0.250, 0.750) [4 per cell]
B (0.000, 0.090, 0.668) [8 per cell]
B (0.000, 0.145, 0.876) [8 per cell]
B (0.000, 0.168, 0.466) [8 per cell]
B (0.162, 0.062, 0.337) [16 per cell]
B (0.247, 0.080, 0.548) [16 per cell]


Here is RbAuF4 after structural relaxation from the Materials Project. Energies are from GGA-PBE.

Lattice parameters (Å, degrees): 6.407 6.407 11.997 90.00 90.00 90.00
Space group I4/mcm (No. 140)
Inequivalent atoms, fractional coordinates:
Rb (0.000, 0.000, 0.250) [4 per cell]
Au (0.000, 0.500, 0.000) [4 per cell]
F (0.155, 0.345, 0.115) [16 per cell]


Here is RuC8N6 after structural relaxation from the Materials Project. Energies are from GGA-PBE.

Its offset from the most stable computed form is 3 meV/atom. The total magnetization comes out at 0.0 μB/f.u.

Lattice parameters (Å, degrees): 7.3759 7.3759 5.7446 90.00 90.00 120.00
Space group P-3m1 (No. 164)
Inequivalent atoms, fractional coordinates:
Ru (0.0000, 0.0000, 0.0000) [1 per cell]
C (0.2241, 0.4483, 0.7784) [6 per cell]
C (0.3333, 0.6667, 0.7529) [2 per cell]
N (0.1336, 0.2673, 0.8118) [6 per cell]


Here is Te3Ru4N2 after structural relaxation from the Materials Project. Energies are from GGA-PBE.

The total magnetization comes out at 0.0 μB/f.u.

Lattice parameters (Å, degrees): 6.406 11.139 9.165 90.00 90.00 90.00
Space group Pnma (No. 62)
Inequivalent atoms, fractional coordinates:
Te (0.058, 0.078, 0.179) [8 per cell]
Te (0.146, 0.250, 0.840) [4 per cell]
Ru (0.110, 0.750, 0.592) [4 per cell]
Ru (0.183, 0.532, 0.435) [8 per cell]
Ru (0.246, 0.250, 0.564) [4 per cell]
N (0.073, 0.122, 0.505) [8 per cell]


Here is ThCoH4 after structural relaxation from the Materials Project. Energies are from GGA-PBE.

Lattice parameters (Å, degrees): 3.879 11.793 4.731 90.00 90.00 90.00
Space group Cmcm (No. 63)
Inequivalent atoms, fractional coordinates:
Th (0.000, 0.131, 0.250) [4 per cell]
Co (0.000, 0.403, 0.250) [4 per cell]
H (0.000, 0.087, 0.750) [4 per cell]
H (0.000, 0.306, 0.503) [8 per cell]
H (0.000, 0.500, 0.000) [4 per cell]


Here is Sr2GdCu2RuO8 after structural relaxation from the Materials Project. Energies are from GGA-PBE.

Its offset from the most stable computed form is 28 meV/atom. The total magnetization comes out at 4.4 μB/f.u.

Lattice parameters (Å, degrees): 5.513 5.500 11.571 90.00 90.16 90.00
Space group C2 (No. 5)
Inequivalent atoms, fractional coordinates:
Sr (0.000, 0.000, 0.189) [4 per cell]
Gd (0.000, 0.000, 0.500) [2 per cell]
Cu (0.000, 0.500, 0.357) [4 per cell]
Ru (0.000, 0.518, 0.000) [2 per cell]
O (0.004, 0.499, 0.169) [4 per cell]
O (0.237, 0.780, 0.001) [4 per cell]
O (0.250, 0.250, 0.373) [4 per cell]
O (0.250, 0.251, 0.628) [4 per cell]


| no. | raw total energy (eV/atom) | volume (Å³ per cell) |
| --- | --- | --- |
| 1 | -4.85 | 2175.8 |
| 2 | -4.26 | 685.5 |
| 3 | -1.91 | 135.5 |
| 4 | -6.83 | 1557.2 |
| 5 | -4.32 | 313.5 |
| 6 | -2.76 | 485.4 |
| 7 | -6.52 | 504.9 |
| 8 | -3.75 | 492.4 |
| 9 | -8.46 | 270.7 |
| 10 | -6.78 | 654.0 |
| 11 | -5.07 | 216.4 |
| 12 | -7.17 | 350.9 |